Entry 1:
Density functional theory data (GGA+U) for an optimized crystal structure of Mg2VWO6.

Cell: 5.205 5.551 9.034 Å, 74.63 90.95 62.59°
Element x y z (fractional)
Mg (0.676, 0.643, 0.885)
Mg (0.176, 0.643, 0.385)
Mg (0.935, 0.141, 0.633)
Mg (0.435, 0.141, 0.133)
V (0.739, 0.518, 0.239)
V (0.239, 0.518, 0.739)
W (0.987, 0.024, 0.988)
W (0.487, 0.024, 0.488)
O (0.488, 0.296, 0.593)
O (0.989, 0.296, 0.093)
O (0.960, 0.811, 0.856)
O (0.461, 0.811, 0.356)
O (0.397, 0.810, 0.680)
O (0.897, 0.809, 0.180)
O (0.430, 0.806, 0.044)
O (0.930, 0.806, 0.545)
O (0.044, 0.308, 0.432)
O (0.544, 0.308, 0.932)
O (0.013, 0.309, 0.793)
O (0.513, 0.309, 0.293)

Summary:
Calculated formation energy = -2616 meV per atom
Energy relative to the lowest polymorph listed for this composition = 0.0 meV per atom
Magnetic moment = 3.00 μB per formula unit

Entry 2:
Density functional theory data (GGA+U) for an optimized crystal structure of LiCoC2O6.

Cell: 6.118 6.118 8.345 Å, 97.38 97.38 126.81°
Element x y z (fractional)
Li (0.057, 0.943, 0.500)
Li (0.943, 0.057, 0.000)
Co (0.368, 0.637, 0.358)
Co (0.637, 0.368, 0.858)
C (0.025, 0.682, 0.139)
C (0.499, 0.633, 0.072)
C (0.633, 0.499, 0.572)
C (0.682, 0.025, 0.639)
O (0.116, 0.851, 0.050)
O (0.155, 0.752, 0.301)
O (0.283, 0.454, 0.128)
O (0.423, 0.785, 0.585)
O (0.454, 0.283, 0.628)
O (0.487, 0.545, 0.915)
O (0.545, 0.487, 0.415)
O (0.699, 0.879, 0.161)
O (0.752, 0.155, 0.801)
O (0.785, 0.423, 0.085)
O (0.851, 0.116, 0.550)
O (0.879, 0.699, 0.661)

Summary:
Calculated formation energy = -1642 meV per atom
Energy relative to the lowest polymorph listed for this composition = 127.2 meV per atom
Magnetic moment = 4.00 μB per formula unit

Entry 3:
Density functional theory data (GGA+U) for an optimized crystal structure of FePH5CO4.

Cell: 4.844 5.800 18.021 Å, 89.89 89.64 89.52°
Element x y z (fractional)
Fe (0.000, 0.000, 0.000)
Fe (0.002, 0.003, 0.500)
Fe (0.501, 0.504, 0.525)
Fe (0.503, 0.503, 0.024)
P (0.436, 0.004, 0.607)
P (0.439, 0.005, 0.106)
P (0.938, 0.499, 0.917)
P (0.939, 0.503, 0.417)
H (0.135, 0.002, 0.713)
H (0.140, 0.003, 0.212)
H (0.414, 0.139, 0.914)
H (0.417, 0.866, 0.914)
H (0.425, 0.866, 0.412)
H (0.426, 0.137, 0.412)
H (0.448, 0.155, 0.731)
H (0.449, 0.847, 0.731)
H (0.452, 0.155, 0.230)
H (0.453, 0.847, 0.230)
H (0.637, 0.504, 0.812)
H (0.638, 0.503, 0.312)
H (0.919, 0.639, 0.112)
H (0.923, 0.637, 0.613)
H (0.924, 0.367, 0.612)
H (0.931, 0.369, 0.112)
H (0.949, 0.657, 0.793)
H (0.950, 0.656, 0.293)
H (0.951, 0.349, 0.793)
H (0.952, 0.348, 0.293)
C (0.360, 0.001, 0.705)
C (0.365, 0.002, 0.204)
C (0.862, 0.503, 0.820)
C (0.863, 0.502, 0.320)
O (0.251, 0.501, 0.428)
O (0.251, 0.502, 0.927)
O (0.290, 0.219, 0.572)
O (0.291, 0.796, 0.069)
O (0.292, 0.790, 0.571)
O (0.294, 0.002, 0.912)
O (0.297, 0.225, 0.072)
O (0.304, 0.003, 0.408)
O (0.749, 0.001, 0.596)
O (0.752, 0.001, 0.094)
O (0.789, 0.711, 0.955)
O (0.792, 0.717, 0.453)
O (0.794, 0.288, 0.453)
O (0.797, 0.283, 0.952)
O (0.802, 0.503, 0.616)
O (0.803, 0.501, 0.117)

Summary:
Calculated formation energy = -1283 meV per atom
Energy relative to the lowest polymorph listed for this composition = 44.1 meV per atom
Magnetic moment = 0.51 μB per formula unit

Entry 4:
Density functional theory data (GGA+U) for an optimized crystal structure of MnSiO3.

Cell: 10.275 10.275 10.275 Å, 109.12 109.12 110.17°
Element x y z (fractional)
Mn (0.000, 0.000, 0.000)
Mn (0.126, 0.876, 0.250)
Mn (0.133, 0.251, 0.365)
Mn (0.249, 0.114, 0.882)
Mn (0.268, 0.633, 0.382)
Mn (0.376, 0.626, 0.750)
Mn (0.386, 0.768, 0.135)
Mn (0.500, 0.000, 0.000)
Mn (0.500, 0.000, 0.500)
Mn (0.500, 0.500, 0.500)
Mn (0.614, 0.232, 0.865)
Mn (0.624, 0.374, 0.250)
Mn (0.732, 0.367, 0.618)
Mn (0.751, 0.886, 0.118)
Mn (0.867, 0.749, 0.635)
Mn (0.874, 0.124, 0.750)
Si (0.000, 0.000, 0.500)
Si (0.000, 0.500, 0.000)
Si (0.000, 0.500, 0.500)
Si (0.114, 0.726, 0.859)
Si (0.125, 0.375, 0.750)
Si (0.226, 0.867, 0.612)
Si (0.246, 0.386, 0.112)
Si (0.367, 0.254, 0.641)
Si (0.375, 0.125, 0.250)
Si (0.500, 0.500, 0.000)
Si (0.625, 0.875, 0.750)
Si (0.633, 0.746, 0.359)
Si (0.754, 0.614, 0.888)
Si (0.774, 0.133, 0.388)
Si (0.875, 0.625, 0.250)
Si (0.886, 0.274, 0.141)
O (0.001, 0.388, 0.819)
O (0.030, 0.416, 0.333)
O (0.069, 0.182, 0.681)
O (0.084, 0.916, 0.614)
O (0.086, 0.875, 0.870)
O (0.089, 0.677, 0.994)
O (0.111, 0.203, 0.968)
O (0.112, 0.431, 0.613)
O (0.177, 0.684, 0.588)
O (0.184, 0.095, 0.506)
O (0.197, 0.530, 0.114)
O (0.200, 0.099, 0.231)
O (0.265, 0.856, 0.468)
O (0.284, 0.414, 0.290)
O (0.297, 0.765, 0.908)
O (0.318, 0.499, 0.887)
O (0.356, 0.389, 0.592)
O (0.368, 0.969, 0.269)
O (0.375, 0.006, 0.790)
O (0.401, 0.132, 0.102)
O (0.405, 0.411, 0.088)
O (0.416, 0.303, 0.833)
O (0.469, 0.700, 0.602)
O (0.494, 0.784, 0.370)
O (0.506, 0.216, 0.630)
O (0.531, 0.300, 0.398)
O (0.584, 0.697, 0.167)
O (0.595, 0.589, 0.912)
O (0.599, 0.868, 0.898)
O (0.625, 0.994, 0.210)
O (0.632, 0.031, 0.731)
O (0.644, 0.611, 0.408)
O (0.682, 0.501, 0.113)
O (0.703, 0.235, 0.092)
O (0.716, 0.586, 0.710)
O (0.735, 0.144, 0.532)
O (0.800, 0.901, 0.769)
O (0.803, 0.470, 0.886)
O (0.816, 0.905, 0.494)
O (0.823, 0.316, 0.412)
O (0.888, 0.569, 0.387)
O (0.889, 0.797, 0.032)
O (0.911, 0.323, 0.006)
O (0.914, 0.125, 0.130)
O (0.916, 0.084, 0.386)
O (0.931, 0.818, 0.319)
O (0.970, 0.584, 0.667)
O (0.999, 0.612, 0.181)

Summary:
Calculated formation energy = -2714 meV per atom
Magnetic moment = 5.00 μB per formula unit

Entry 5:
Density functional theory data (GGA+U) for an optimized crystal structure of Li4MnTe3O12.

Cell: 5.200 5.486 7.640 Å, 85.86 89.74 89.84°
Element x y z (fractional)
Li (0.000, 0.000, 0.000)
Li (0.007, 0.005, 0.546)
Li (0.495, 0.528, 0.998)
Li (0.509, 0.538, 0.547)
Mn (0.504, 0.956, 0.739)
Te (0.000, 0.442, 0.737)
Te (0.002, 0.439, 0.239)
Te (0.505, 0.941, 0.237)
O (0.142, 0.422, 0.474)
O (0.167, 0.132, 0.783)
O (0.195, 0.735, 0.154)
O (0.307, 0.244, 0.155)
O (0.307, 0.614, 0.781)
O (0.375, 0.918, 0.466)
O (0.629, 0.910, 0.008)
O (0.684, 0.609, 0.303)
O (0.710, 0.261, 0.664)
O (0.812, 0.733, 0.670)
O (0.831, 0.114, 0.299)
O (0.868, 0.414, 0.996)

Summary:
Calculated formation energy = -1814 meV per atom
Energy relative to the lowest polymorph listed for this composition = 19.6 meV per atom
Magnetic moment = 4.87 μB per formula unit

Entry 6:
Density functional theory data (GGA+U) for an optimized crystal structure of CaCr2P4O14.

Cell: 6.350 6.434 7.124 Å, 83.61 89.15 68.27°
Element x y z (fractional)
Ca (0.000, 0.000, 0.000)
Cr (0.440, 0.160, 0.180)
Cr (0.953, 0.415, 0.579)
P (0.437, 0.075, 0.762)
P (0.540, 0.620, 0.264)
P (0.845, 0.950, 0.498)
P (0.947, 0.500, 0.996)
O (0.000, 0.702, 0.510)
O (0.050, 0.665, 0.923)
O (0.107, 0.287, 0.122)
O (0.282, 0.289, 0.641)
O (0.326, 0.917, 0.837)
O (0.378, 0.870, 0.239)
O (0.428, 0.469, 0.197)
O (0.568, 0.128, 0.927)
O (0.633, 0.950, 0.623)
O (0.647, 0.541, 0.461)
O (0.744, 0.622, 0.126)
O (0.756, 0.034, 0.290)
O (0.848, 0.408, 0.840)
O (0.951, 0.101, 0.575)

Summary:
Calculated formation energy = -2679 meV per atom
Magnetic moment = 0.00 μB per formula unit

Entry 7:
Density functional theory data (GGA+U) for an optimized crystal structure of BaEuMgFe2O5.

Cell: 4.039 4.039 9.904 Å, 90.00 90.00 90.00°
Element x y z (fractional)
Ba (0.000, 0.000, 0.000)
Eu (0.000, 0.000, 0.646)
Mg (0.000, 0.000, 0.328)
Fe (0.500, 0.500, 0.241)
Fe (0.500, 0.500, 0.813)
O (0.000, 0.500, 0.317)
O (0.000, 0.500, 0.778)
O (0.500, 0.000, 0.317)
O (0.500, 0.000, 0.778)
O (0.500, 0.500, 0.034)

Summary:
Calculated formation energy = -2062 meV per atom
Energy relative to the lowest polymorph listed for this composition = 64.6 meV per atom
Magnetic moment = 15.11 μB per formula unit

Entry 8:
Density functional theory data (GGA+U) for an optimized crystal structure of MgV4O7F5.

Cell: 5.338 5.363 7.380 Å, 94.26 90.73 92.77°
Element x y z (fractional)
Mg (0.000, 0.000, 0.000)
V (0.052, 0.511, 0.770)
V (0.065, 0.505, 0.296)
V (0.535, 0.027, 0.792)
V (0.616, 0.990, 0.318)
O (0.132, 0.493, 0.548)
O (0.161, 0.232, 0.202)
O (0.256, 0.839, 0.832)
O (0.480, 0.044, 0.535)
O (0.629, 0.015, 0.076)
O (0.845, 0.221, 0.808)
O (0.872, 0.832, 0.359)
F (0.339, 0.331, 0.855)
F (0.367, 0.716, 0.263)
F (0.731, 0.344, 0.346)
F (0.754, 0.725, 0.753)
F (0.972, 0.619, 0.047)

Summary:
Calculated formation energy = -2673 meV per atom
Energy relative to the lowest polymorph listed for this composition = 50.0 meV per atom
Magnetic moment = 3.00 μB per formula unit